[1]
Material: KCrSnS4
Method: DFT, meta-GGA r2SCAN
State: optimized geometry Values from VASP.

Geometry as Quantum ESPRESSO input:
```
&SYSTEM
  ibrav = 0, nat = 7, ntyp = 4
/
ATOMIC_SPECIES
Sn 118.71 Sn.upf
S 32.06 S.upf
Cr 52.00 Cr.upf
K 39.10 K.upf
ATOMIC_POSITIONS crystal
Sn 0.000 0.998 0.003
S 0.500 0.185 0.118
S 0.000 0.178 0.596
S 0.000 0.826 0.412
S 0.500 0.814 0.886
Cr 0.500 0.003 0.503
K 0.500 0.495 0.649
CELL_PARAMETERS angstrom
-1.829 -3.169 0.000
-1.827 1.055 7.591
-5.390 3.112 0.028
```

## Properties
The space-group type is Pm. The crystal system is monoclinic. The mass density is 3.25 g cm⁻³. The size of the total moment is 0.429 μB per atom. The calculation puts the calculated formation energy at -6.85 eV per formula unit.

***

[2]
Material: La2MgCrO6
Method: DFT, meta-GGA r2SCAN
State: optimized geometry Values from VASP.

Geometry as Quantum ESPRESSO input:
```
&SYSTEM
  ibrav = 0, nat = 10, ntyp = 4
/
ATOMIC_SPECIES
O 16.00 O.upf
La 138.91 La.upf
Mg 24.30 Mg.upf
Cr 52.00 Cr.upf
ATOMIC_POSITIONS crystal
O 0.696 0.240 0.820
O 0.820 0.696 0.240
O 0.180 0.304 0.760
O 0.240 0.820 0.696
O 0.304 0.760 0.180
O 0.760 0.180 0.304
La 0.750 0.750 0.750
La 0.250 0.250 0.250
Mg 0.500 0.500 0.500
Cr 0.000 0.000 0.000
CELL_PARAMETERS angstrom
4.762 -0.004 2.666
1.561 4.499 2.666
-0.005 -0.004 5.457
```

## Properties
The space-group type is R-3. The crystal system is trigonal. The mass density is 6.39 g cm⁻³. The size of the total moment is 0.200 μB per atom. The calculation puts the calculated formation energy at -32.08 eV per formula unit.

***

[3]
Material: LaCrO4
Method: DFT, meta-GGA r2SCAN
State: optimized geometry Values from VASP.

Geometry as Quantum ESPRESSO input:
```
&SYSTEM
  ibrav = 0, nat = 24, ntyp = 3
/
ATOMIC_SPECIES
O 16.00 O.upf
La 138.91 La.upf
Cr 52.00 Cr.upf
ATOMIC_POSITIONS crystal
O 0.114 0.657 0.015
O 0.001 0.181 0.745
O 0.160 0.899 0.608
O 0.210 0.393 0.381
O 0.614 0.343 0.485
O 0.501 0.819 0.755
O 0.660 0.101 0.892
O 0.999 0.819 0.255
O 0.290 0.393 0.881
O 0.386 0.657 0.515
O 0.499 0.181 0.245
O 0.840 0.101 0.392
O 0.790 0.607 0.619
O 0.340 0.899 0.108
O 0.886 0.343 0.985
O 0.710 0.607 0.119
La 0.156 0.179 0.219
La 0.656 0.821 0.281
La 0.344 0.179 0.719
La 0.844 0.821 0.781
Cr 0.165 0.689 0.197
Cr 0.665 0.311 0.303
Cr 0.335 0.689 0.697
Cr 0.835 0.311 0.803
CELL_PARAMETERS angstrom
-3.860 -5.994 -1.153
5.515 -3.149 -2.095
5.240 -4.309 4.857
```

## Properties
The space-group type is P2_1/c. The crystal system is monoclinic. The mass density is 5.15 g cm⁻³. The size of the total moment is 0.167 μB per atom. The calculation puts the calculated formation energy at -17.06 eV per formula unit.

***

[4]
Material: LaCrS3
Method: DFT, meta-GGA r2SCAN
State: optimized geometry Values from VASP.

Geometry as Quantum ESPRESSO input:
```
&SYSTEM
  ibrav = 0, nat = 20, ntyp = 3
/
ATOMIC_SPECIES
S 32.06 S.upf
Cr 52.00 Cr.upf
La 138.91 La.upf
ATOMIC_POSITIONS crystal
S 0.750 0.164 0.994
S 0.750 0.304 0.712
S 0.750 0.013 0.395
S 0.250 0.196 0.212
S 0.250 0.336 0.494
S 0.250 0.487 0.895
S 0.750 0.804 0.788
S 0.250 0.696 0.288
S 0.250 0.987 0.605
S 0.750 0.513 0.105
S 0.250 0.836 0.006
S 0.750 0.664 0.506
Cr 0.750 0.660 0.947
Cr 0.750 0.160 0.553
Cr 0.250 0.840 0.447
Cr 0.250 0.340 0.053
La 0.250 0.587 0.672
La 0.750 0.913 0.172
La 0.750 0.413 0.328
La 0.250 0.087 0.828
CELL_PARAMETERS angstrom
3.817 0.000 0.000
0.000 7.903 0.000
0.000 0.000 13.176
```

## Properties
The space-group type is Pnma. The crystal system is orthorhombic. The mass density is 4.80 g cm⁻³. The size of the total moment is 0.600 μB per atom. The calculation puts the calculated formation energy at -8.92 eV per formula unit.

***

[5]
Material: LaCrSb3
Method: DFT, meta-GGA r2SCAN
State: optimized geometry Values from VASP.

Geometry as Quantum ESPRESSO input:
```
&SYSTEM
  ibrav = 0, nat = 20, ntyp = 3
/
ATOMIC_SPECIES
La 138.91 La.upf
Cr 52.00 Cr.upf
Sb 121.76 Sb.upf
ATOMIC_POSITIONS crystal
La 0.750 0.996 0.311
La 0.250 0.504 0.311
La 0.250 0.004 0.689
La 0.750 0.496 0.689
Cr 0.500 0.250 0.090
Cr 0.000 0.750 0.910
Cr 0.500 0.750 0.910
Cr 0.000 0.250 0.090
Sb 0.000 0.750 0.501
Sb 0.500 0.250 0.498
Sb 0.750 0.000 0.783
Sb 0.750 0.394 0.937
Sb 0.750 0.894 0.063
Sb 0.250 0.606 0.063
Sb 0.000 0.250 0.498
Sb 0.250 0.500 0.783
Sb 0.500 0.750 0.501
Sb 0.250 0.106 0.937
Sb 0.250 0.000 0.217
Sb 0.750 0.500 0.217
CELL_PARAMETERS angstrom
-3.384 -1.341 -5.172
2.234 -5.804 0.043
-10.233 -3.883 7.702
```

## Properties
The space-group type is Pbcm. The crystal system is orthorhombic. The mass density is 7.02 g cm⁻³. The size of the total moment is 0.578 μB per atom. The calculation puts the calculated formation energy at -3.19 eV per formula unit.

***

[6]
Material: LaCrSe3
Method: DFT, meta-GGA r2SCAN
State: optimized geometry Values from VASP.

Geometry as Quantum ESPRESSO input:
```
&SYSTEM
  ibrav = 0, nat = 20, ntyp = 3
/
ATOMIC_SPECIES
La 138.91 La.upf
Se 78.96 Se.upf
Cr 52.00 Cr.upf
ATOMIC_POSITIONS crystal
La 0.250 0.593 0.672
La 0.250 0.093 0.828
La 0.750 0.407 0.328
La 0.750 0.907 0.172
Se 0.250 0.487 0.893
Se 0.750 0.660 0.505
Se 0.250 0.340 0.495
Se 0.750 0.513 0.107
Se 0.750 0.013 0.393
Se 0.250 0.192 0.211
Se 0.250 0.692 0.289
Se 0.750 0.160 0.995
Se 0.750 0.808 0.789
Se 0.250 0.987 0.607
Se 0.250 0.840 0.005
Se 0.750 0.308 0.711
Cr 0.750 0.161 0.552
Cr 0.750 0.661 0.948
Cr 0.250 0.339 0.052
Cr 0.250 0.839 0.448
CELL_PARAMETERS angstrom
3.999 0.000 0.000
0.000 8.239 0.000
0.000 0.000 13.832
```

## Properties
The space-group type is Pnma. The crystal system is orthorhombic. The mass density is 6.24 g cm⁻³. The size of the total moment is 0.600 μB per atom. The calculation puts the calculated formation energy at -8.02 eV per formula unit.

***

[7]
Material: Li15Cr2N9
Method: DFT, meta-GGA r2SCAN
State: optimized geometry Values from VASP.

Geometry as Quantum ESPRESSO input:
```
&SYSTEM
  ibrav = 0, nat = 104, ntyp = 3
/
ATOMIC_SPECIES
Li 6.94 Li.upf
Cr 52.00 Cr.upf
N 14.01 N.upf
ATOMIC_POSITIONS crystal
Li 0.781 0.428 0.597
Li 0.484 0.907 0.740
Li 0.268 0.063 0.600
Li 0.761 0.602 0.074
Li 0.743 0.716 0.587
Li 0.241 0.778 0.589
Li 0.985 0.734 0.904
Li 0.999 0.769 0.269
Li 0.757 0.216 0.087
Li 0.739 0.102 0.574
Li 0.219 0.928 0.403
Li 0.999 0.600 0.100
Li 0.001 0.100 0.900
Li 0.715 0.406 0.937
Li 0.016 0.407 0.240
Li 0.501 0.100 0.600
Li 0.984 0.907 0.760
Li 0.261 0.602 0.426
Li 0.285 0.906 0.063
Li 0.758 0.088 0.283
Li 0.483 0.584 0.773
Li 0.015 0.234 0.096
Li 0.484 0.767 0.918
Li 0.001 0.269 0.731
Li 0.741 0.910 0.721
Li 0.499 0.769 0.231
Li 0.517 0.084 0.227
Li 0.239 0.102 0.926
Li 0.515 0.234 0.404
Li 0.485 0.734 0.596
Li 0.243 0.716 0.913
Li 0.281 0.428 0.903
Li 0.751 0.250 0.757
Li 0.258 0.088 0.217
Li 0.501 0.269 0.769
Li 0.785 0.906 0.437
Li 0.241 0.910 0.779
Li 0.249 0.750 0.243
Li 0.732 0.563 0.400
Li 0.516 0.407 0.260
Li 0.017 0.084 0.273
Li 0.768 0.063 0.900
Li 0.232 0.563 0.100
Li 0.759 0.278 0.411
Li 0.516 0.267 0.082
Li 0.215 0.406 0.563
Li 0.259 0.278 0.089
Li 0.251 0.250 0.743
Li 0.741 0.778 0.911
Li 0.016 0.267 0.418
Li 0.499 0.600 0.400
Li 0.257 0.216 0.413
Li 0.749 0.750 0.257
Li 0.719 0.928 0.097
Li 0.759 0.410 0.221
Li 0.984 0.767 0.582
Li 0.259 0.410 0.279
Li 0.242 0.588 0.717
Li 0.742 0.588 0.783
Li 0.983 0.584 0.727
Cr 0.496 0.578 0.081
Cr 0.504 0.078 0.919
Cr 0.004 0.919 0.078
Cr 0.996 0.578 0.419
Cr 0.004 0.078 0.581
Cr 0.496 0.419 0.578
Cr 0.996 0.419 0.922
Cr 0.504 0.919 0.422
N 0.112 0.278 0.912
N 0.606 0.918 0.566
N 0.624 0.918 0.289
N 0.888 0.778 0.088
N 0.894 0.418 0.066
N 0.612 0.278 0.588
N 0.857 0.748 0.747
N 0.875 0.711 0.418
N 0.396 0.060 0.420
N 0.104 0.560 0.920
N 0.625 0.211 0.918
N 0.643 0.248 0.247
N 0.612 0.588 0.222
N 0.394 0.418 0.434
N 0.608 0.936 0.910
N 0.375 0.711 0.082
N 0.894 0.091 0.442
N 0.106 0.591 0.558
N 0.606 0.591 0.942
N 0.876 0.418 0.789
N 0.357 0.748 0.753
N 0.892 0.436 0.410
N 0.106 0.918 0.934
N 0.388 0.778 0.412
N 0.143 0.248 0.253
N 0.604 0.560 0.580
N 0.388 0.088 0.778
N 0.896 0.060 0.080
N 0.108 0.936 0.590
N 0.394 0.091 0.058
N 0.125 0.211 0.582
N 0.112 0.588 0.278
N 0.376 0.418 0.711
N 0.124 0.918 0.211
N 0.392 0.436 0.090
N 0.888 0.088 0.722
CELL_PARAMETERS angstrom
-3.721 8.461 0.739
-5.727 -3.189 7.680
7.268 2.627 6.511
```

## Properties
The space-group type is Pna2_1. The crystal system is orthorhombic. The mass density is 2.35 g cm⁻³. The size of the total moment is 0.000 μB per atom. The calculation puts the calculated formation energy at -20.46 eV per formula unit.

***

[8]
Material: Li2Cr3NiO8
Method: DFT, meta-GGA r2SCAN
State: optimized geometry Values from VASP.

Geometry as Quantum ESPRESSO input:
```
&SYSTEM
  ibrav = 0, nat = 14, ntyp = 4
/
ATOMIC_SPECIES
Li 6.94 Li.upf
Cr 52.00 Cr.upf
O 16.00 O.upf
Ni 58.69 Ni.upf
ATOMIC_POSITIONS crystal
Li 0.873 0.873 0.873
Li 0.127 0.127 0.127
Cr 0.500 0.500 0.000
Cr 0.500 0.000 0.500
Cr 0.000 0.500 0.500
O 0.263 0.263 0.263
O 0.265 0.712 0.265
O 0.737 0.737 0.737
O 0.735 0.735 0.288
O 0.265 0.265 0.712
O 0.712 0.265 0.265
O 0.288 0.735 0.735
O 0.735 0.288 0.735
Ni 0.500 0.500 0.500
CELL_PARAMETERS angstrom
-1.568 4.306 3.447
-5.528 0.608 1.401
-1.685 -1.159 5.358
```

## Properties
The space-group type is R-3m. The crystal system is trigonal. The mass density is 4.37 g cm⁻³. The size of the total moment is 0.571 μB per atom. The calculation puts the calculated formation energy at -29.29 eV per formula unit.

***

[9]
Material: Li2Cr2O7
Method: DFT, meta-GGA r2SCAN
State: optimized geometry Values from VASP.

Geometry as Quantum ESPRESSO input:
```
&SYSTEM
  ibrav = 0, nat = 22, ntyp = 3
/
ATOMIC_SPECIES
O 16.00 O.upf
Cr 52.00 Cr.upf
Li 6.94 Li.upf
ATOMIC_POSITIONS crystal
O 0.606 0.635 0.359
O 0.403 0.098 0.388
O 0.635 0.606 0.859
O 0.597 0.902 0.612
O 0.908 0.092 0.750
O 0.283 0.983 0.881
O 0.365 0.394 0.141
O 0.098 0.403 0.888
O 0.017 0.717 0.619
O 0.902 0.597 0.112
O 0.717 0.017 0.119
O 0.394 0.365 0.641
O 0.092 0.908 0.250
O 0.983 0.283 0.381
Cr 0.821 0.788 0.209
Cr 0.179 0.212 0.791
Cr 0.788 0.821 0.709
Cr 0.212 0.179 0.291
Li 0.272 0.621 0.979
Li 0.621 0.272 0.479
Li 0.728 0.379 0.021
Li 0.379 0.728 0.521
CELL_PARAMETERS angstrom
-5.309 -0.571 1.402
-0.793 -0.496 -5.441
-1.867 -9.687 -1.338
```

## Properties
The space-group type is C2/c. The crystal system is monoclinic. The mass density is 2.72 g cm⁻³. The size of the total moment is 0.000 μB per atom. The calculation puts the calculated formation energy at -21.73 eV per formula unit.

***

[10]
Material: Li2CrO3
Method: DFT, meta-GGA r2SCAN
State: optimized geometry Values from VASP.

Geometry as Quantum ESPRESSO input:
```
&SYSTEM
  ibrav = 0, nat = 24, ntyp = 3
/
ATOMIC_SPECIES
Li 6.94 Li.upf
O 16.00 O.upf
Cr 52.00 Cr.upf
ATOMIC_POSITIONS crystal
Li 0.500 0.500 0.999
Li 0.500 0.500 0.657
Li 0.500 0.500 0.343
Li 0.000 0.500 0.843
Li 0.000 0.500 0.157
Li 0.000 0.000 0.000
Li 0.000 0.500 0.501
Li 0.500 0.000 0.500
O 0.751 0.773 0.681
O 0.751 0.774 0.319
O 0.251 0.774 0.181
O 0.780 0.229 0.500
O 0.251 0.773 0.819
O 0.249 0.227 0.681
O 0.249 0.226 0.319
O 0.749 0.226 0.181
O 0.749 0.227 0.819
O 0.280 0.229 0.000
O 0.720 0.771 0.000
O 0.220 0.771 0.500
Cr 0.000 0.000 0.328
Cr 0.500 0.000 0.828
Cr 0.500 0.000 0.172
Cr 0.000 0.000 0.672
CELL_PARAMETERS angstrom
-5.001 0.000 0.031
-1.725 0.000 4.710
0.000 8.476 0.000
```

## Properties
The energy above the most stable polymorph in this dataset comes out at 10 meV/atom. The mass density is 3.80 g cm⁻³. The size of the total moment is 0.333 μB per atom. The calculation puts the calculated formation energy at -13.75 eV per formula unit.

***

[11]
Material: Li4CrO4
Method: DFT, meta-GGA r2SCAN
State: optimized geometry Values from VASP.

Geometry as Quantum ESPRESSO input:
```
&SYSTEM
  ibrav = 0, nat = 36, ntyp = 3
/
ATOMIC_SPECIES
Li 6.94 Li.upf
O 16.00 O.upf
Cr 52.00 Cr.upf
ATOMIC_POSITIONS crystal
Li 0.420 0.562 0.750
Li 0.840 0.080 0.500
Li 0.420 0.062 0.750
Li 0.160 0.420 0.500
Li 0.580 0.438 0.250
Li 0.125 0.210 0.750
Li 0.160 0.920 0.000
Li 0.875 0.790 0.250
Li 0.160 0.420 0.000
Li 0.875 0.290 0.250
Li 0.840 0.580 0.500
Li 0.580 0.938 0.250
Li 0.160 0.920 0.500
Li 0.125 0.710 0.750
Li 0.840 0.080 0.000
Li 0.840 0.580 0.000
O 0.796 0.898 0.504
O 0.796 0.898 0.996
O 0.660 0.133 0.250
O 0.204 0.602 0.496
O 0.204 0.102 0.496
O 0.796 0.398 0.996
O 0.734 0.670 0.750
O 0.340 0.367 0.750
O 0.266 0.330 0.250
O 0.660 0.633 0.250
O 0.796 0.398 0.504
O 0.204 0.102 0.004
O 0.204 0.602 0.004
O 0.340 0.867 0.750
O 0.266 0.830 0.250
O 0.734 0.170 0.750
Cr 0.340 0.170 0.250
Cr 0.340 0.670 0.250
Cr 0.660 0.830 0.750
Cr 0.660 0.330 0.750
CELL_PARAMETERS angstrom
1.711 -4.910 1.192
6.595 4.759 6.902
-4.213 -0.420 4.315
```

## Properties
The energy above the most stable polymorph in this dataset comes out at 0 meV/atom. The mass density is 2.78 g cm⁻³. The size of the total moment is 0.000 μB per atom. The calculation puts the calculated formation energy at -19.78 eV per formula unit.

***

[12]
Material: Li4CrO4
Method: DFT, meta-GGA r2SCAN
State: optimized geometry Values from VASP.

Geometry as Quantum ESPRESSO input:
```
&SYSTEM
  ibrav = 0, nat = 18, ntyp = 3
/
ATOMIC_SPECIES
O 16.00 O.upf
Li 6.94 Li.upf
Cr 52.00 Cr.upf
ATOMIC_POSITIONS crystal
O 0.616 0.301 0.513
O 0.195 0.626 0.002
O 0.625 0.807 0.975
O 0.384 0.699 0.487
O 0.979 0.159 0.661
O 0.021 0.841 0.339
O 0.805 0.374 0.998
O 0.375 0.193 0.025
Li 0.416 0.918 0.750
Li 0.791 0.607 0.217
Li 0.996 0.760 0.741
Li 0.438 0.491 0.240
Li 0.584 0.082 0.250
Li 0.209 0.393 0.783
Li 0.004 0.240 0.259
Li 0.562 0.509 0.760
Cr 0.226 0.837 0.220
Cr 0.774 0.163 0.780
CELL_PARAMETERS angstrom
-0.611 3.336 6.808
4.959 -0.827 -1.042
2.144 3.940 -2.430
```

## Properties
The energy above the most stable polymorph in this dataset comes out at 4 meV/atom. The space-group type is P-1. The crystal system is triclinic. The mass density is 2.74 g cm⁻³. The size of the total moment is 0.222 μB per atom. The calculation puts the calculated formation energy at -19.74 eV per formula unit.

***

[13]
Material: Li3CrO4
Method: DFT, meta-GGA r2SCAN
State: optimized geometry Values from VASP.

Geometry as Quantum ESPRESSO input:
```
&SYSTEM
  ibrav = 0, nat = 16, ntyp = 3
/
ATOMIC_SPECIES
O 16.00 O.upf
Li 6.94 Li.upf
Cr 52.00 Cr.upf
ATOMIC_POSITIONS crystal
O 0.227 0.687 0.891
O 0.727 0.313 0.391
O 0.000 0.132 0.888
O 0.273 0.313 0.391
O 0.773 0.687 0.891
O 0.000 0.817 0.346
O 0.500 0.183 0.846
O 0.500 0.868 0.388
Li 0.253 0.665 0.491
Li 0.247 0.335 0.991
Li 0.500 0.842 0.988
Li 0.000 0.158 0.488
Li 0.753 0.335 0.991
Li 0.747 0.665 0.491
Cr 0.000 0.830 0.999
Cr 0.500 0.170 0.499
CELL_PARAMETERS angstrom
6.288 0.000 0.000
0.000 5.359 0.000
0.000 0.000 4.904
```

## Properties
The space-group type is Pmn2_1. The crystal system is orthorhombic. The mass density is 2.75 g cm⁻³. The size of the total moment is 0.125 μB per atom. The calculation puts the calculated formation energy at -17.84 eV per formula unit.